# 1
# MgNi

A geometry-optimized MgNi structure (meta-GGA r2SCAN, Materials Project).

Cell lengths 4.926, 4.926, 4.926 Å; angles 60.49, 60.49, 60.49 degrees
Positions (direct):
Mg (0.000, 0.000, 0.000)
Mg (0.381, 0.381, 0.381)
Mg (0.619, 0.619, 0.619)
Ni (0.000, 0.500, 0.000)
Ni (0.000, 0.000, 0.500)
Ni (0.500, 0.000, 0.000)



# 2
# MgNi2O4

A geometry-optimized MgNi2O4 structure (meta-GGA r2SCAN, Materials Project).

- energy above the lowest structure with this stoichiometry (kcal/mol of atoms) = 0.00

Cell lengths 5.780, 5.855, 5.855 Å; angles 90.01, 120.41, 120.43 degrees
Positions (direct):
Mg (0.250, 0.125, 0.875)
Mg (0.750, 0.875, 0.125)
Ni (0.500, 0.000, 0.500)
Ni (0.500, 0.500, 0.500)
Ni (0.000, 0.500, 0.000)
Ni (0.000, 0.500, 0.500)
O (0.033, 0.745, 0.241)
O (0.467, 0.760, 0.712)
O (0.467, 0.707, 0.255)
O (0.967, 0.712, 0.708)
O (0.533, 0.293, 0.745)
O (0.533, 0.240, 0.288)
O (0.033, 0.288, 0.292)
O (0.967, 0.255, 0.759)



# 3
# MgNi2O4

A geometry-optimized MgNi2O4 structure (meta-GGA r2SCAN, Materials Project).

- energy above the lowest structure with this stoichiometry (kcal/mol of atoms) = 0.18

Cell lengths 5.615, 5.615, 5.922 Å; angles 118.31, 118.31, 90.01 degrees
Positions (direct):
Mg (0.375, 0.625, 0.750)
Mg (0.625, 0.375, 0.250)
Ni (0.000, 0.000, 0.500)
Ni (0.000, 0.500, 0.000)
Ni (0.500, 0.000, 0.500)
Ni (0.000, 0.000, 0.000)
O (0.762, 0.788, 0.524)
O (0.763, 0.238, 0.975)
O (0.213, 0.238, 0.976)
O (0.238, 0.212, 0.476)
O (0.238, 0.763, 0.475)
O (0.237, 0.762, 0.025)
O (0.762, 0.237, 0.525)
O (0.787, 0.762, 0.024)



The records above yield energy values of -8.143, -9.068, -9.061 eV/atom, respectively.
The records above yield DFT formation energy values of -0.068, -1.637, -1.629 eV/atom, respectively.